# TaAlSiS2O12, relaxed, DFT PBE
data_TaAlSiS2O12
_chemical_formula_sum 'Ta12 Al12 Si12 S24 O144'
_space_group_name_H-M_alt 'C 1 c 1'
_space_group_IT_number 9
_cell_length_a 14.991
_cell_length_b 8.630
_cell_length_c 22.324
_cell_angle_alpha 90.00
_cell_angle_beta 90.53
_cell_angle_gamma 90.00
loop_
_space_group_symop_operation_xyz
'x,y,z'
'x,-y,z+1/2'
'x+1/2,y+1/2,z'
'x+1/2,-y+1/2,z+1/2'
loop_
_atom_site_label
_atom_site_type_symbol
_atom_site_fract_x
_atom_site_fract_y
_atom_site_fract_z
Ta1 Ta 0.000 0.001 0.000
Ta2 Ta 0.174 0.498 0.667
Ta3 Ta 0.328 0.011 0.834
Al1 Al 0.171 0.478 0.952
Al2 Al 0.336 0.003 0.621
Al3 Al 0.498 0.493 0.285
Si1 Si 0.133 0.153 0.888
Si2 Si 0.307 0.339 0.057
Si3 Si 0.344 0.284 0.722
S1 S 0.005 0.288 0.392
S2 S 0.020 0.366 0.058
S3 S 0.169 0.217 0.557
S4 S 0.186 0.136 0.224
S5 S 0.353 0.362 0.391
S6 S 0.473 0.147 0.224
O1 O 0.011 0.191 0.050
O2 O 0.016 0.194 0.339
O3 O 0.061 0.434 0.004
O4 O 0.063 0.427 0.716
O5 O 0.075 0.104 0.832
O6 O 0.076 0.384 0.112
O7 O 0.083 0.384 0.405
O8 O 0.086 0.118 0.551
O9 O 0.092 0.066 0.949
O10 O 0.098 0.070 0.234
O11 O 0.147 0.333 0.900
O12 O 0.149 0.313 0.612
O13 O 0.175 0.310 0.218
O14 O 0.179 0.312 0.504
O15 O 0.228 0.070 0.172
O16 O 0.234 0.067 0.882
O17 O 0.245 0.387 0.001
O18 O 0.246 0.117 0.567
O19 O 0.246 0.123 0.279
O20 O 0.249 0.386 0.716
O21 O 0.262 0.430 0.117
O22 O 0.263 0.422 0.402
O23 O 0.319 0.162 0.074
O24 O 0.320 0.176 0.782
O25 O 0.348 0.190 0.383
O26 O 0.349 0.172 0.665
O27 O 0.392 0.434 0.338
O28 O 0.405 0.424 0.047
O29 O 0.411 0.385 0.445
O30 O 0.418 0.121 0.171
O31 O 0.424 0.107 0.885
O32 O 0.424 0.398 0.739
O33 O 0.431 0.071 0.566
O34 O 0.434 0.075 0.279
O35 O 0.482 0.308 0.946
O36 O 0.484 0.314 0.233
# total magnetization	0.00	μB/cell
# E (MP2020)	-7.7980	eV/atom
# calculated formation energy	-2582	meV/atom